1.
An optimized crystal structure of Bi2P3Se9, computed with PBE-GGA.

Calculated values
Theoretical density: 5.05 g cm⁻³
Energy relative to the elements: -0.488 eV per atom
Polymorph energy (0 for the lowest one): 0.0 meV per atom

```
Bi2P3Se9
1.0
-6.554 -3.369 1.987
4.736 -5.402 6.462
1.214 10.176 21.258
P Bi Se
12 8 36
Cartesian
-5.352 0.017 9.887
1.705 -2.007 3.851
1.671 -4.969 9.940
-1.122 0.076 21.128
-0.236 1.771 15.253
-0.087 5.793 19.575
0.518 1.329 8.579
-2.275 6.374 19.767
-0.517 -4.388 10.132
4.748 1.388 19.820
-0.368 -0.366 14.454
-2.309 3.412 25.856
2.100 -2.984 14.039
4.872 3.217 24.012
-2.246 -0.860 11.360
-5.476 -1.812 5.695
1.642 2.265 18.347
-2.704 4.389 15.668
-2.426 3.824 22.228
1.823 -2.418 7.479
0.919 7.689 20.229
-2.536 -0.734 14.167
2.191 2.826 25.056
1.932 2.139 15.540
0.448 -0.904 2.393
-4.741 2.355 16.054
-0.227 1.113 22.849
-1.052 2.309 27.314
-3.535 -4.040 6.997
-1.523 -6.284 9.478
2.734 -3.153 10.624
0.501 -0.468 19.678
3.830 0.523 17.990
-0.958 -4.038 12.258
-4.434 0.882 11.717
1.945 -5.222 7.749
0.354 5.444 17.449
-1.354 1.856 17.149
0.213 4.021 20.887
-2.909 1.085 20.267
2.931 5.445 22.710
-1.129 4.765 24.553
0.525 -3.360 5.153
4.137 -0.950 13.653
-3.776 -0.443 8.403
-1.127 3.062 13.683
-0.817 -2.616 8.820
-2.549 6.627 21.958
-1.105 1.873 10.029
0.751 -0.451 12.558
-0.377 0.292 6.858
-2.795 -1.420 4.651
3.173 1.848 21.304
2.306 0.321 9.440
-3.338 4.558 19.083
0.523 -1.657 16.024
```

2.
An optimized crystal structure of Bi2P3Se9, computed with PBE-GGA.

Calculated values
Theoretical density: 5.13 g cm⁻³
Energy relative to the elements: -0.485 eV per atom
Polymorph energy (0 for the lowest one): 3.9 meV per atom

```
Bi2P3Se9
1.0
-1.691 -4.454 5.090
11.285 1.907 4.945
-7.849 13.679 9.193
P Se Bi
12 36 8
Cartesian
-3.666 4.882 7.088
-4.292 10.652 8.153
1.941 6.718 6.782
-0.195 4.414 12.445
0.506 0.514 5.693
-0.985 10.179 13.587
-6.555 8.326 13.750
2.730 0.954 5.640
8.301 2.807 5.477
6.037 0.481 11.074
5.412 6.251 12.140
1.239 10.619 13.534
-0.873 5.381 10.522
4.992 6.066 14.312
0.234 -1.387 4.629
1.631 5.363 13.189
6.496 1.799 4.699
-7.418 9.211 11.905
6.175 4.805 7.514
0.114 5.770 6.038
-0.300 2.327 4.701
-2.017 11.959 12.759
4.405 8.083 11.403
-4.751 9.334 14.529
-1.345 8.308 12.396
3.090 2.825 6.832
2.045 8.806 14.526
5.151 4.356 11.038
2.619 5.751 8.705
1.692 10.632 11.361
-1.607 9.922 15.701
8.322 -1.355 9.126
-3.332 -0.494 6.861
1.976 2.438 10.485
3.352 1.210 3.526
-6.576 12.488 10.101
-3.406 6.777 8.190
-2.659 3.049 7.825
1.512 12.520 14.598
-3.246 5.067 4.915
5.297 1.348 9.198
-0.230 8.695 8.743
3.762 -0.826 6.468
5.078 11.627 12.366
9.163 1.922 7.322
0.054 0.501 7.866
-4.429 6.328 11.713
-3.552 9.785 10.029
7.823 4.193 9.909
1.584 9.467 17.625
2.940 -0.558 9.141
0.162 1.666 1.602
-6.078 6.940 9.318
1.151 7.474 11.091
-1.194 11.691 10.086
0.595 3.658 8.137
```

3.
An optimized crystal structure of TlBiP2Se6, computed with PBE-GGA.

Calculated values
Theoretical density: 5.52 g cm⁻³
Energy relative to the elements: -0.524 eV per atom

```
TlBiP2Se6
1.0
7.749 0.000 0.000
0.000 12.622 0.000
0.000 3.115 23.339
P Tl Se Bi
16 8 48 8
Cartesian
6.795 7.040 21.169
0.954 8.697 2.170
2.905 14.250 19.691
7.010 8.052 3.554
2.921 10.255 13.840
4.617 13.659 21.083
0.742 3.636 13.926
4.614 9.610 15.223
3.135 6.128 8.116
4.844 1.487 3.648
0.739 7.685 19.785
0.969 12.693 8.021
3.133 2.078 2.257
4.829 5.482 9.499
7.007 12.101 9.413
6.780 3.044 15.318
7.013 8.351 7.590
4.515 6.068 13.474
3.234 9.669 9.865
3.138 5.828 4.079
4.611 9.909 19.260
0.736 7.386 15.749
7.109 4.510 1.805
0.641 11.227 21.534
2.307 4.321 15.327
6.181 12.973 19.682
2.193 12.470 18.629
1.406 15.213 21.027
2.469 13.655 9.358
7.684 6.501 4.884
3.847 11.752 12.440
3.809 7.678 6.785
5.647 7.249 10.469
3.894 3.521 0.801
0.028 10.195 0.770
1.682 10.913 6.959
3.902 3.985 10.899
0.019 10.659 10.869
2.416 12.756 1.419
6.343 0.524 2.312
3.884 12.661 5.099
5.281 2.082 13.981
5.977 8.806 22.139
6.316 9.994 4.450
5.443 11.416 8.012
0.009 1.519 6.570
1.459 14.314 13.088
1.772 6.931 1.200
6.290 1.424 10.251
5.308 11.551 16.120
1.529 6.723 9.542
5.334 2.981 21.920
3.940 8.059 16.554
0.065 9.236 18.455
6.220 9.014 13.797
3.865 3.077 18.240
1.433 5.743 18.889
1.568 2.764 3.657
2.345 8.280 21.212
2.441 4.186 7.219
1.443 11.220 15.222
2.103 8.488 12.870
5.557 3.267 4.710
7.740 14.218 16.769
6.068 4.824 16.380
5.318 6.074 19.786
2.432 9.663 3.553
3.856 12.216 22.538
6.306 4.517 8.117
7.722 5.542 22.569
7.730 5.078 12.470
5.404 7.457 2.127
1.201 3.854 9.800
2.674 5.411 21.470
5.065 1.783 7.641
1.190 12.396 4.029
6.548 11.883 13.539
6.559 3.341 19.310
5.076 10.326 1.869
2.684 13.954 15.698
```

4.
An optimized crystal structure of TlBiP2Se6, computed with PBE-GGA.

Calculated values
Theoretical density: 5.52 g cm⁻³
Energy relative to the elements: -0.524 eV per atom

```
TlBiP2Se6
1.0
-3.355 5.793 -3.762
-0.035 -6.896 -10.586
-10.607 -7.105 -1.480
Se Tl P Bi
24 4 8 4
Cartesian
-10.642 -9.871 -8.622
-12.178 -6.601 -14.873
-3.470 -2.234 -8.080
-5.228 -5.506 -7.977
-6.269 -2.477 -10.757
-8.891 -5.970 -13.261
-1.819 -1.607 -0.955
-12.179 -2.918 -6.456
-2.258 -1.051 -4.593
-8.079 -8.603 -10.738
-1.818 -5.290 -9.372
-5.106 -2.238 -2.567
-11.054 -5.681 -3.811
-3.274 -5.085 -5.005
-5.918 0.395 -5.090
-4.928 -5.707 -12.133
-2.943 -2.527 -12.017
-10.527 -5.973 -7.749
-3.355 1.663 -7.206
-8.769 -2.702 -7.851
-10.723 -3.123 -10.823
-7.728 -5.731 -5.071
-9.069 -2.500 -3.695
-11.739 -7.157 -11.235
-4.753 -8.394 -9.889
-5.898 -2.939 -5.900
-9.244 0.187 -5.939
-8.099 -5.268 -9.928
-9.470 -4.390 -4.720
-5.574 1.469 -7.010
-11.054 -6.003 -13.022
-8.423 -9.677 -8.818
-2.943 -2.205 -2.806
-10.230 -3.946 -6.825
-3.767 -4.262 -9.003
-4.527 -3.818 -11.108
-4.150 -0.507 -10.363
-10.519 -10.019 -11.492
-9.847 -7.701 -5.466
-3.478 1.811 -4.336
```

5.
An optimized crystal structure of Sr3BiP, computed with PBE-GGA.

Calculated values
Theoretical density: 4.33 g cm⁻³
Energy relative to the elements: -0.914 eV per atom
Polymorph energy (0 for the lowest one): 0.0 meV per atom

```
Sr3BiP
1.0
5.777 0.000 0.000
0.000 5.777 0.000
0.000 0.000 5.777
Sr Bi P
3 1 1
Cartesian
2.888 0.000 2.888
0.000 2.888 2.888
2.888 2.888 0.000
0.000 0.000 0.000
2.888 2.888 2.888
```

6.
An optimized crystal structure of Sr3BiP, computed with PBE-GGA.

Calculated values
Theoretical density: 3.53 g cm⁻³
Energy relative to the elements: -0.149 eV per atom
Polymorph energy (0 for the lowest one): 764.4 meV per atom

```
Sr3BiP
1.0
-4.398 4.321 -0.482
-4.256 -4.139 1.731
0.887 1.563 5.917
Sr P Bi
3 1 1
Cartesian
-1.685 -1.288 3.824
-4.327 0.091 0.624
-1.755 2.942 2.718
0.000 0.000 0.000
-3.883 0.872 3.583
```

7.
An optimized crystal structure of Pa2BiTe, computed with PBE-GGA.

Calculated values
Theoretical density: 12.40 g cm⁻³
Energy relative to the elements: -0.460 eV per atom

```
Pa2BiTe
1.0
0.000 3.767 3.767
3.767 0.000 3.767
3.767 3.767 0.000
Te Pa Bi
1 2 1
Cartesian
0.000 0.000 0.000
1.884 1.884 1.884
5.651 5.651 5.651
3.767 3.767 3.767
```

8.
An optimized crystal structure of BiPb, computed with PBE-GGA.

Calculated values
Theoretical density: 10.81 g cm⁻³
Energy relative to the elements: 0.051 eV per atom

```
BiPb
1.0
-2.542 1.554 1.868
-0.505 -0.710 -3.407
-2.213 -5.354 1.443
Pb Bi
1 1
Cartesian
0.000 0.000 0.000
-2.290 -2.632 -0.927
```

9.
An optimized crystal structure of BiPd2Pb, computed with PBE-GGA.

Calculated values
Theoretical density: 11.98 g cm⁻³
Energy relative to the elements: -0.293 eV per atom

```
BiPd2Pb
1.0
-4.704 -3.297 -0.194
2.457 -1.923 4.826
-3.249 2.398 3.979
Bi Pd Pb
2 4 2
Cartesian
-0.400 -0.126 4.130
-3.634 -0.746 1.863
-3.898 -3.728 6.580
-2.941 -1.627 4.640
-2.015 0.256 6.609
-5.505 -0.414 4.162
-3.498 1.708 4.523
-4.663 -0.961 6.914
```

10.
An optimized crystal structure of BiPd2Pb, computed with PBE-GGA.

Calculated values
Theoretical density: 11.98 g cm⁻³
Energy relative to the elements: -0.296 eV per atom

```
BiPd2Pb
1.0
-4.795 0.869 -3.060
3.670 -1.592 -4.136
-2.795 -10.258 1.468
Pb Pd Bi
4 8 4
Cartesian
-0.744 -0.562 -4.566
-0.139 -0.095 -0.879
-2.387 -5.770 -5.581
-1.834 -5.493 -1.866
-1.031 -2.670 -2.004
-0.203 -6.852 -3.900
-2.818 -8.050 -3.761
1.466 -1.548 -2.897
-2.139 -7.566 0.478
-1.680 -3.041 -6.259
-4.354 -5.645 -3.372
-2.685 -0.342 -2.369
-0.712 -8.900 -1.807
-4.537 -7.788 -1.321
-3.414 -2.836 -3.812
0.411 -3.948 -4.299
```

11.
An optimized crystal structure of Bi3Pd12Pb, computed with PBE-GGA.

Calculated values
Theoretical density: 12.37 g cm⁻³
Energy relative to the elements: -0.255 eV per atom

```
Bi3Pd12Pb
1.0
-1.178 4.611 -1.760
-2.408 -2.428 -4.749
-8.410 -0.435 4.488
Pd Bi Pb
12 3 1
Cartesian
-0.183 0.715 -0.273
-3.902 0.987 -2.132
-9.277 2.464 -1.955
-5.205 0.696 0.459
-5.094 2.680 -4.187
-6.394 -0.503 -1.887
-2.595 1.268 -4.740
-8.097 0.770 0.107
-8.078 3.672 0.408
-3.895 3.889 -1.824
-5.202 3.684 0.755
-1.392 2.481 -2.367
-1.391 -0.481 -2.654
-6.899 1.977 2.488
-2.688 2.195 0.241
-6.397 2.436 -1.607
```

12.
An optimized crystal structure of BiPt2Pb, computed with PBE-GGA.

Calculated values
Theoretical density: 14.36 g cm⁻³
Energy relative to the elements: -0.254 eV per atom

```
BiPt2Pb
1.0
-2.190 -3.793 0.000
-4.380 0.000 0.000
0.000 0.000 -5.611
Pb Bi Pt
1 1 2
Cartesian
-4.380 -2.529 -1.403
-2.190 -1.265 -4.208
-2.190 -3.793 -0.001
-2.190 -3.793 -2.804
```

13.
An optimized crystal structure of BiPtPb3, computed with PBE-GGA.

Calculated values
Theoretical density: 11.92 g cm⁻³
Energy relative to the elements: -0.135 eV per atom

```
BiPtPb3
1.0
11.696 0.000 0.000
0.000 11.696 0.000
0.000 0.000 4.178
Pb Bi Pt
12 4 4
Cartesian
4.648 7.049 2.089
10.496 10.496 0.000
9.704 5.880 0.000
5.880 9.704 0.000
0.032 7.840 2.089
1.200 1.200 0.000
5.816 1.992 0.000
1.992 5.816 0.000
11.664 3.856 2.089
7.840 0.032 2.089
3.856 11.664 2.089
7.049 4.648 2.089
8.258 8.258 2.089
3.438 3.438 2.089
9.286 2.410 0.000
2.410 9.286 0.000
10.680 1.016 2.089
6.864 6.864 0.000
4.832 4.832 0.000
1.016 10.680 2.089
```

14.
An optimized crystal structure of Bi3Pt2Pb, computed with PBE-GGA.

Calculated values
Theoretical density: 12.37 g cm⁻³
Energy relative to the elements: -0.223 eV per atom

```
Bi3Pt2Pb
1.0
0.000 0.000 4.147
5.728 -0.026 0.000
-0.031 6.917 0.000
Pt Bi Pb
2 3 1
Cartesian
-0.017 6.905 0.000
2.837 3.450 2.073
4.477 4.387 0.000
1.214 2.501 0.000
1.611 5.954 2.073
4.087 0.948 2.073
```